First-principles (GGA-PBE) data for a relaxed Rb2LiPrBr6 crystal, as listed in the Materials Project.

abc: 7.991 7.991 7.991
angles: 60.00 60.00 60.00
Fractional positions:
Rb 0.250 0.250 0.250
Rb 0.750 0.750 0.750
Li 0.000 0.000 0.000
Pr 0.500 0.500 0.500
Br 0.243 0.243 0.757
Br 0.243 0.757 0.243
Br 0.243 0.757 0.757
Br 0.757 0.243 0.243
Br 0.757 0.243 0.757
Br 0.757 0.757 0.243

Computed properties:
ΔE_f: -2.10 eV per atom
Energy: -0.1334 Ha/atom
V: 360.88 Å³/f.u.